[1]
SrNdCr4O12 | GGA+U | relaxed

Values from the calculation:
Its symmetry is Amm2, No. 38. The energy of formation from the pure elements comes out at -204 kJ per mole of atoms. As for the crystal system: orthorhombic.

Cell: 5.418 5.418 7.429 Å, 90.00 90.00 87.55°
Positions (direct):
Sr 0.001 0.001 0.000
Nd 0.485 0.485 0.500
Cr 0.484 0.984 0.750
Cr 0.484 0.984 0.250
Cr 0.984 0.484 0.250
Cr 0.984 0.484 0.750
O 0.775 0.243 0.742
O 0.243 0.775 0.742
O 0.243 0.775 0.258
O 0.775 0.243 0.258
O 0.728 0.728 0.718
O 0.279 0.279 0.773
O 0.279 0.279 0.227
O 0.728 0.728 0.282
O 0.529 0.978 0.000
O 0.483 0.042 0.500
O 0.978 0.529 0.000
O 0.042 0.483 0.500



[2]
SrNdZrCrO6 | GGA+U | relaxed

Values from the calculation:
Its symmetry is F-43m, No. 216. The energy of formation from the pure elements comes out at -314 kJ per mole of atoms. As for the crystal system: cubic.

Cell: 5.712 5.712 5.712 Å, 60.00 60.00 60.00°
Positions (direct):
Sr 0.750 0.750 0.750
Nd 0.250 0.250 0.250
Zr 0.500 0.500 0.500
Cr 0.000 0.000 0.000
O 0.756 0.244 0.244
O 0.244 0.756 0.756
O 0.756 0.244 0.756
O 0.244 0.756 0.244
O 0.756 0.756 0.244
O 0.244 0.244 0.756



| no. | calculated total energy (eV for the cell shown) |
| --- | --- |
| 1 | -126.19 |
| 2 | -80.73 |